No. 1
Material: Li6W2O9
Method: DFT, PBE+U
State: relaxed

Unit cell a=6.668 b=6.668 c=8.327 alpha=108.15 beta=108.15 gamma=83.87
Element x y z (fractional)
1 Li 0.143 0.499 0.411
2 Li 0.155 0.516 0.916
3 Li 0.160 0.164 0.081
4 Li 0.164 0.160 0.581
5 Li 0.484 0.845 0.584
6 Li 0.499 0.143 0.911
7 Li 0.501 0.857 0.089
8 Li 0.516 0.155 0.416
9 Li 0.836 0.840 0.419
10 Li 0.840 0.836 0.919
11 Li 0.845 0.484 0.084
12 Li 0.857 0.501 0.589
13 W 0.137 0.863 0.250
14 W 0.490 0.510 0.750
15 W 0.510 0.490 0.250
16 W 0.863 0.137 0.750
17 O 0.152 0.178 0.832
18 O 0.170 0.830 0.025
19 O 0.170 0.830 0.475
20 O 0.178 0.152 0.332
21 O 0.192 0.519 0.179
22 O 0.200 0.485 0.669
23 O 0.481 0.808 0.321
24 O 0.485 0.200 0.169
25 O 0.500 0.500 0.000
26 O 0.500 0.500 0.500
27 O 0.515 0.800 0.831
28 O 0.519 0.192 0.679
29 O 0.800 0.515 0.331
30 O 0.808 0.481 0.821
31 O 0.822 0.848 0.668
32 O 0.830 0.170 0.525
33 O 0.830 0.170 0.975
34 O 0.848 0.822 0.168

Computed properties:
Its raw total energy is -106.12 eV per formula unit. For the total magnetization, the calculation gives 0.00 μB per formula unit. The value obtained for the MP2020-corrected energy is -7.128 eV per atom. The formation energy comes out at -2.310 eV/atom. The volume comes out at 334 Å³ per cell.

No. 2
Material: Li7W5O16
Method: DFT, PBE+U
State: relaxed

Unit cell a=5.985 b=5.985 c=9.918 alpha=90.32 beta=90.32 gamma=58.46
Element x y z (fractional)
1 Li 0.000 0.000 0.000
2 Li 0.007 0.007 0.506
3 Li 0.183 0.671 0.727
4 Li 0.335 0.335 0.425
5 Li 0.671 0.183 0.727
6 Li 0.677 0.677 0.914
7 Li 0.848 0.848 0.234
8 W 0.186 0.186 0.743
9 W 0.356 0.356 0.992
10 W 0.376 0.820 0.227
11 W 0.680 0.680 0.516
12 W 0.820 0.376 0.227
13 O 0.016 0.016 0.318
14 O 0.019 0.019 0.811
15 O 0.036 0.486 0.868
16 O 0.180 0.180 0.114
17 O 0.220 0.657 0.115
18 O 0.324 0.324 0.627
19 O 0.360 0.849 0.609
20 O 0.486 0.036 0.868
21 O 0.489 0.489 0.878
22 O 0.513 0.955 0.361
23 O 0.521 0.521 0.374
24 O 0.657 0.220 0.115
25 O 0.689 0.689 0.107
26 O 0.837 0.837 0.588
27 O 0.849 0.360 0.609
28 O 0.955 0.513 0.361

Computed properties:
Its raw total energy is -185.12 eV per formula unit. For the total magnetization, the calculation gives 5.00 μB per formula unit. The value obtained for the MP2020-corrected energy is -7.796 eV per atom. The formation energy comes out at -2.178 eV/atom. The volume comes out at 303 Å³ per cell.

No. 3
Material: Li3W8O24
Method: DFT, PBE+U
State: relaxed

Unit cell a=7.555 b=7.559 c=7.595 alpha=90.00 beta=90.00 gamma=90.00
Element x y z (fractional)
1 Li 0.000 0.000 0.000
2 Li 0.000 0.500 0.000
3 Li 0.500 0.000 0.500
4 W 0.251 0.251 0.251
5 W 0.251 0.251 0.749
6 W 0.251 0.749 0.251
7 W 0.251 0.749 0.749
8 W 0.749 0.251 0.251
9 W 0.749 0.251 0.749
10 W 0.749 0.749 0.251
11 W 0.749 0.749 0.749
12 O 0.000 0.292 0.294
13 O 0.000 0.292 0.706
14 O 0.000 0.708 0.294
15 O 0.000 0.708 0.706
16 O 0.199 0.000 0.205
17 O 0.199 0.000 0.795
18 O 0.202 0.299 0.000
19 O 0.202 0.701 0.000
20 O 0.295 0.197 0.500
21 O 0.295 0.500 0.287
22 O 0.295 0.500 0.713
23 O 0.295 0.803 0.500
24 O 0.500 0.208 0.207
25 O 0.500 0.208 0.793
26 O 0.500 0.792 0.207
27 O 0.500 0.792 0.793
28 O 0.705 0.197 0.500
29 O 0.705 0.500 0.287
30 O 0.705 0.500 0.713
31 O 0.705 0.803 0.500
32 O 0.798 0.299 0.000
33 O 0.798 0.701 0.000
34 O 0.801 0.000 0.205
35 O 0.801 0.000 0.795

Computed properties:
Its raw total energy is -252.88 eV per formula unit. For the total magnetization, the calculation gives 2.98 μB per formula unit. The value obtained for the MP2020-corrected energy is -8.711 eV per atom. The formation energy comes out at -2.192 eV/atom. The volume comes out at 434 Å³ per cell.

No. 4
Material: Li2WO12
Method: DFT, PBE+U
State: relaxed

Unit cell a=6.811 b=10.156 c=12.880 alpha=90.00 beta=95.74 gamma=90.00
Element x y z (fractional)
1 Li 0.110 0.078 0.340
2 Li 0.110 0.422 0.840
3 Li 0.286 0.183 0.050
4 Li 0.286 0.317 0.550
5 Li 0.714 0.683 0.450
6 Li 0.714 0.817 0.950
7 Li 0.890 0.578 0.160
8 Li 0.890 0.922 0.660
9 W 0.469 0.616 0.250
10 W 0.469 0.884 0.750
11 W 0.531 0.116 0.250
12 W 0.531 0.384 0.750
13 O 0.047 0.124 0.544
14 O 0.047 0.376 0.044
15 O 0.079 0.212 0.466
16 O 0.079 0.288 0.966
17 O 0.090 0.504 0.502
18 O 0.090 0.996 0.002
19 O 0.133 0.582 0.957
20 O 0.133 0.918 0.457
21 O 0.181 0.577 0.217
22 O 0.181 0.923 0.717
23 O 0.236 0.147 0.209
24 O 0.236 0.353 0.709
25 O 0.287 0.004 0.230
26 O 0.287 0.496 0.730
27 O 0.303 0.043 0.724
28 O 0.303 0.457 0.224
29 O 0.421 0.747 0.359
30 O 0.421 0.753 0.859
31 O 0.452 0.612 0.404
32 O 0.452 0.888 0.904
33 O 0.459 0.742 0.641
34 O 0.459 0.758 0.141
35 O 0.470 0.136 0.400
36 O 0.470 0.364 0.900
37 O 0.530 0.636 0.100
38 O 0.530 0.864 0.600
39 O 0.541 0.242 0.859
40 O 0.541 0.258 0.359
41 O 0.548 0.112 0.096
42 O 0.548 0.388 0.596
43 O 0.579 0.247 0.141
44 O 0.579 0.253 0.641
45 O 0.697 0.543 0.776
46 O 0.697 0.957 0.276
47 O 0.713 0.504 0.270
48 O 0.713 0.996 0.770
49 O 0.764 0.647 0.291
50 O 0.764 0.853 0.791
51 O 0.819 0.077 0.283
52 O 0.819 0.423 0.783
53 O 0.867 0.082 0.543
54 O 0.867 0.418 0.043
55 O 0.910 0.004 0.998
56 O 0.910 0.496 0.498
57 O 0.921 0.712 0.034
58 O 0.921 0.788 0.534
59 O 0.953 0.624 0.956
60 O 0.953 0.876 0.456

Computed properties:
Its raw total energy is -80.04 eV per formula unit. For the total magnetization, the calculation gives 2.00 μB per formula unit. The value obtained for the MP2020-corrected energy is -5.632 eV per atom. The formation energy comes out at -0.555 eV/atom. The volume comes out at 886 Å³ per cell.

No. 5
Material: Li7W5O16
Method: DFT, PBE+U
State: relaxed

Unit cell a=6.044 b=6.053 c=9.921 alpha=90.16 beta=90.03 gamma=119.48
Element x y z (fractional)
1 Li 0.000 0.000 0.000
2 Li 0.011 0.504 0.189
3 Li 0.173 0.334 0.503
4 Li 0.320 0.186 0.267
5 Li 0.339 0.180 0.785
6 Li 0.514 0.514 0.001
7 Li 0.663 0.842 0.701
8 W 0.013 0.507 0.782
9 W 0.166 0.827 0.500
10 W 0.514 0.000 0.010
11 W 0.679 0.337 0.500
12 W 0.696 0.832 0.263
13 O 0.007 0.498 0.391
14 O 0.015 0.996 0.379
15 O 0.162 0.344 0.860
16 O 0.172 0.820 0.877
17 O 0.287 0.661 0.639
18 O 0.343 0.168 0.599
19 O 0.347 0.169 0.080
20 O 0.375 0.710 0.143
21 O 0.522 0.009 0.387
22 O 0.543 0.509 0.390
23 O 0.658 0.854 0.897
24 O 0.693 0.337 0.874
25 O 0.810 0.140 0.141
26 O 0.820 0.686 0.147
27 O 0.840 0.220 0.632
28 O 0.845 0.649 0.635

Computed properties:
Its raw total energy is -186.29 eV per formula unit. For the total magnetization, the calculation gives 5.00 μB per formula unit. The value obtained for the MP2020-corrected energy is -7.838 eV per atom. The formation energy comes out at -2.220 eV/atom. The volume comes out at 316 Å³ per cell.

No. 6
Material: Li2WO4
Method: DFT, PBE+U
State: relaxed

Unit cell a=5.827 b=5.827 c=5.170 alpha=91.33 beta=91.33 gamma=61.68
Element x y z (fractional)
1 Li 0.043 0.343 0.271
2 Li 0.343 0.043 0.771
3 Li 0.657 0.957 0.229
4 Li 0.957 0.657 0.729
5 W 0.337 0.663 0.250
6 W 0.663 0.337 0.750
7 O 0.017 0.723 0.364
8 O 0.277 0.983 0.136
9 O 0.293 0.502 0.928
10 O 0.498 0.707 0.572
11 O 0.502 0.293 0.428
12 O 0.707 0.498 0.072
13 O 0.723 0.017 0.864
14 O 0.983 0.277 0.636

Computed properties:
Its raw total energy is -45.85 eV per formula unit. The value obtained for the MP2020-corrected energy is -7.576 eV per atom. The formation energy comes out at -2.352 eV/atom. The volume comes out at 154 Å³ per cell.

No. 7
Material: Li3W8O24
Method: DFT, PBE+U
State: relaxed

Unit cell a=7.593 b=7.593 c=7.593 alpha=90.00 beta=90.00 gamma=90.00
Element x y z (fractional)
1 Li 0.000 0.000 0.500
2 Li 0.000 0.500 0.000
3 Li 0.500 0.000 0.000
4 W 0.251 0.251 0.251
5 W 0.251 0.251 0.749
6 W 0.251 0.749 0.251
7 W 0.251 0.749 0.749
8 W 0.749 0.251 0.251
9 W 0.749 0.251 0.749
10 W 0.749 0.749 0.251
11 W 0.749 0.749 0.749
12 O 0.000 0.293 0.200
13 O 0.000 0.293 0.800
14 O 0.000 0.707 0.200
15 O 0.000 0.707 0.800
16 O 0.200 0.000 0.293
17 O 0.200 0.000 0.707
18 O 0.212 0.289 0.500
19 O 0.212 0.711 0.500
20 O 0.289 0.500 0.212
21 O 0.289 0.500 0.788
22 O 0.293 0.200 0.000
23 O 0.293 0.800 0.000
24 O 0.500 0.212 0.289
25 O 0.500 0.212 0.711
26 O 0.500 0.788 0.289
27 O 0.500 0.788 0.711
28 O 0.707 0.200 0.000
29 O 0.707 0.800 0.000
30 O 0.711 0.500 0.212
31 O 0.711 0.500 0.788
32 O 0.788 0.289 0.500
33 O 0.788 0.711 0.500
34 O 0.800 0.000 0.293
35 O 0.800 0.000 0.707

Computed properties:
Its raw total energy is -252.90 eV per formula unit. For the total magnetization, the calculation gives 3.00 μB per formula unit. The value obtained for the MP2020-corrected energy is -8.711 eV per atom. The formation energy comes out at -2.193 eV/atom. The volume comes out at 438 Å³ per cell.

No. 8
Material: Li8WO6
Method: DFT, PBE+U
State: relaxed

Unit cell a=6.078 b=6.078 c=6.078 alpha=54.04 beta=54.04 gamma=54.04
Element x y z (fractional)
1 Li 0.007 0.736 0.399
2 Li 0.156 0.156 0.156
3 Li 0.264 0.601 0.993
4 Li 0.399 0.007 0.736
5 Li 0.601 0.993 0.264
6 Li 0.736 0.399 0.007
7 Li 0.844 0.844 0.844
8 Li 0.993 0.264 0.601
9 W 0.500 0.500 0.500
10 O 0.118 0.406 0.731
11 O 0.269 0.882 0.594
12 O 0.406 0.731 0.118
13 O 0.594 0.269 0.882
14 O 0.731 0.118 0.406
15 O 0.882 0.594 0.269

Computed properties:
Its raw total energy is -81.12 eV per formula unit. For the total magnetization, the calculation gives 2.00 μB per formula unit. The value obtained for the MP2020-corrected energy is -5.978 eV per atom. The formation energy comes out at -2.117 eV/atom. The volume comes out at 137 Å³ per cell.

No. 9
Material: Li14W7O32
Method: DFT, PBE+U
State: relaxed

Unit cell a=9.655 b=9.655 c=9.655 alpha=90.00 beta=90.00 gamma=90.00
Element x y z (fractional)
1 Li 0.000 0.000 0.000
2 Li 0.000 0.000 0.500
3 Li 0.000 0.500 0.000
4 Li 0.271 0.500 0.500
5 Li 0.287 0.287 0.713
6 Li 0.287 0.713 0.287
7 Li 0.500 0.000 0.000
8 Li 0.500 0.271 0.500
9 Li 0.500 0.500 0.271
10 Li 0.500 0.500 0.729
11 Li 0.500 0.729 0.500
12 Li 0.713 0.287 0.287
13 Li 0.713 0.713 0.713
14 Li 0.729 0.500 0.500
15 W 0.000 0.500 0.500
16 W 0.133 0.133 0.867
17 W 0.133 0.867 0.133
18 W 0.500 0.000 0.500
19 W 0.500 0.500 0.000
20 W 0.867 0.133 0.133
21 W 0.867 0.867 0.867
22 O 0.098 0.098 0.098
23 O 0.098 0.902 0.902
24 O 0.118 0.118 0.679
25 O 0.118 0.321 0.882
26 O 0.118 0.679 0.118
27 O 0.118 0.882 0.321
28 O 0.121 0.398 0.398
29 O 0.121 0.602 0.602
30 O 0.321 0.118 0.882
31 O 0.321 0.882 0.118
32 O 0.398 0.121 0.398
33 O 0.398 0.398 0.121
34 O 0.398 0.602 0.879
35 O 0.398 0.879 0.602
36 O 0.399 0.399 0.601
37 O 0.399 0.601 0.399
38 O 0.601 0.399 0.399
39 O 0.601 0.601 0.601
40 O 0.602 0.121 0.602
41 O 0.602 0.398 0.879
42 O 0.602 0.602 0.121
43 O 0.602 0.879 0.398
44 O 0.679 0.118 0.118
45 O 0.679 0.882 0.882
46 O 0.879 0.398 0.602
47 O 0.879 0.602 0.398
48 O 0.882 0.118 0.321
49 O 0.882 0.321 0.118
50 O 0.882 0.679 0.882
51 O 0.882 0.882 0.679
52 O 0.902 0.098 0.902
53 O 0.902 0.902 0.098

Computed properties:
Its raw total energy is -309.66 eV per formula unit. For the total magnetization, the calculation gives 8.00 μB per formula unit. The value obtained for the MP2020-corrected energy is -6.844 eV per atom. The formation energy comes out at -1.640 eV/atom. The volume comes out at 900 Å³ per cell.

No. 10
Material: LiW2O4
Method: DFT, PBE+U
State: relaxed

Unit cell a=6.368 b=6.368 c=6.368 alpha=60.00 beta=60.00 gamma=60.00
Element x y z (fractional)
1 Li 0.125 0.125 0.125
2 Li 0.875 0.875 0.875
3 W 0.000 0.500 0.500
4 W 0.500 0.000 0.500
5 W 0.500 0.500 0.000
6 W 0.500 0.500 0.500
7 O 0.262 0.262 0.262
8 O 0.262 0.262 0.714
9 O 0.262 0.714 0.262
10 O 0.286 0.738 0.738
11 O 0.714 0.262 0.262
12 O 0.738 0.286 0.738
13 O 0.738 0.738 0.286
14 O 0.738 0.738 0.738

Computed properties:
Its raw total energy is -48.64 eV per formula unit. For the total magnetization, the calculation gives 5.00 μB per formula unit. The value obtained for the MP2020-corrected energy is -8.610 eV per atom. The formation energy comes out at -1.807 eV/atom. The volume comes out at 183 Å³ per cell.

What is the MP2020-corrected energy in the second record? -7.796 eV per atom